# LaGeI, optimized geometry, DFT r²SCAN
data_LaGeI
_chemical_formula_sum 'La2 Ge2 I2'
_cell_length_a 4.406
_cell_length_b 4.406
_cell_length_c 11.921
_cell_angle_alpha 90.00
_cell_angle_beta 90.00
_cell_angle_gamma 120.00
_symmetry_space_group_name_H-M 'P 1'
_symmetry_Int_Tables_number 1
_symmetry_space_group_name_Hall 'P 1'
loop_
_atom_site_label
_atom_site_type_symbol
_atom_site_fract_x
_atom_site_fract_y
_atom_site_fract_z
La1 La 0.000 0.000 0.172
La2 La 0.000 0.000 0.828
Ge1 Ge 0.333 0.667 0.991
Ge2 Ge 0.667 0.333 0.009
I1 I 0.667 0.333 0.650
I2 I 0.333 0.667 0.350
# total DFT energy (no corrections)	-24.016	eV per atom
# DFT formation energy	-1.291	eV per atom
# SG	No. 164